# 1
This record from the Materials Project describes a geometry-optimized Cd2GeAs4 structure. The functional is PBE.

Lattice parameters (Å, degrees): 7.3748 7.5553 12.9337 90.00 90.00 90.00
Atoms (fractional coordinates):
Ge 0.9181 0.7500 0.0811
Ge 0.5819 0.2500 0.5811
Ge 0.0819 0.2500 0.9189
Ge 0.4181 0.7500 0.4189
As 0.5440 0.0120 0.3254
As 0.0916 0.7500 0.4614
As 0.4084 0.2500 0.9614
As 0.3877 0.2500 0.4225
As 0.0440 0.4880 0.1746
As 0.9560 0.9880 0.8254
As 0.9560 0.5120 0.8254
As 0.4560 0.5120 0.6746
As 0.0440 0.0120 0.1746
As 0.1123 0.7500 0.9225
As 0.5916 0.7500 0.0386
As 0.8877 0.2500 0.0775
As 0.5440 0.4880 0.3254
As 0.4560 0.9880 0.6746
As 0.9084 0.2500 0.5386
As 0.6123 0.7500 0.5775
Cd 0.9058 0.0237 0.3696
Cd 0.4058 0.4763 0.1304
Cd 0.5942 0.5237 0.8696
Cd 0.4058 0.0237 0.1304
Cd 0.0942 0.5237 0.6304
Cd 0.0942 0.9763 0.6304
Cd 0.9058 0.4763 0.3696
Cd 0.5942 0.9763 0.8696

Properties
uncorrected energy = -102.7 eV per cell
crystal system = orthorhombic
space-group type = Pnma, No. 62
energy of formation from the pure elements = -55 kJ/mol of formula units


# 2
This record from the Materials Project describes a geometry-optimized CdGeAs2 structure. The functional is PBE.

Lattice parameters (Å, degrees): 7.1634 7.1634 7.1634 129.88 129.88 73.59
Atoms (fractional coordinates):
Ge 0.0000 0.0000 0.0000
Ge 0.7500 0.2500 0.5000
Cd 0.5000 0.5000 0.0000
Cd 0.2500 0.7500 0.5000
As 0.0975 0.6250 0.9725
As 0.6525 0.1250 0.0275
As 0.8750 0.9025 0.5275
As 0.3750 0.3475 0.4725

Properties
uncorrected energy = -30.5 eV per cell
crystal system = tetragonal
space-group type = I-42d, No. 122
energy of formation from the pure elements = -35 kJ/mol of formula units


# 3
This record from the Materials Project describes a geometry-optimized CdGeAsP structure. The functional is PBE.

Lattice parameters (Å, degrees): 7.0091 7.0091 7.0091 130.26 129.81 73.36
Atoms (fractional coordinates):
P 0.0329 0.7500 0.7829
P 0.4671 0.2500 0.7171
As 0.7500 0.0269 0.2769
As 0.2500 0.4731 0.2231
Ge 0.3699 0.1199 0.2500
Ge 0.1301 0.3801 0.7500
Cd 0.8697 0.6197 0.2500
Cd 0.6303 0.8803 0.7500

Properties
uncorrected energy = -31.9 eV per cell
crystal system = orthorhombic
space-group type = I2_12_12_1, No. 24
energy of formation from the pure elements = -32 kJ/mol of formula units


# 4
This record from the Materials Project describes a geometry-optimized Cd2SnGeAs4 structure. The functional is PBE.

Lattice parameters (Å, degrees): 7.3379 7.3379 7.3379 130.46 130.46 72.68
Atoms (fractional coordinates):
As 0.1065 0.1356 0.5032
As 0.6324 0.6033 0.4968
As 0.8644 0.3676 0.9709
As 0.3967 0.8935 0.0291
Sn 0.5000 0.5000 0.0000
Ge 0.7500 0.2500 0.5000
Cd 0.0000 0.0000 0.0000
Cd 0.2500 0.7500 0.5000

Properties
uncorrected energy = -30.0 eV per cell
crystal system = tetragonal
space-group type = I-4, No. 82
energy of formation from the pure elements = -84 kJ/mol of formula units


# 5
This record from the Materials Project describes a geometry-optimized Cd2AsHO5 structure. The functional is PBE.

Lattice parameters (Å, degrees): 14.3986 10.8577 13.3263 71.55 90.00 90.00
Atoms (fractional coordinates):
Cd 0.3247 0.0347 0.6099
Cd 0.7518 0.7050 0.3011
Cd 0.1753 0.0347 0.1099
Cd 0.3243 0.9515 0.9259
Cd 0.7667 0.3063 0.1852
Cd 0.2518 0.2950 0.1989
Cd 0.5191 0.1888 0.8094
Cd 0.9809 0.1888 0.3094
Cd 0.5718 0.4664 0.4014
Cd 0.9231 0.5560 0.5829
Cd 0.5769 0.5560 0.0829
Cd 0.4952 0.2102 0.3014
Cd 0.7482 0.7050 0.8011
Cd 0.6757 0.0485 0.0741
Cd 0.7333 0.3063 0.6852
Cd 0.0191 0.8112 0.6906
Cd 0.0769 0.4440 0.4171
Cd 0.8243 0.0485 0.5741
Cd 0.4809 0.8112 0.1906
Cd 0.9952 0.7898 0.1986
Cd 0.0048 0.2102 0.8014
Cd 0.9282 0.4664 0.9014
Cd 0.2482 0.2950 0.6989
Cd 0.4231 0.4440 0.9171
Cd 0.2333 0.6937 0.8148
Cd 0.0718 0.5336 0.0986
Cd 0.2667 0.6937 0.3148
Cd 0.4282 0.5336 0.5986
Cd 0.1757 0.9515 0.4259
Cd 0.5048 0.7898 0.6986
Cd 0.8247 0.9653 0.8901
Cd 0.6753 0.9653 0.3901
O 0.1666 0.9741 0.9575
O 0.2798 0.0745 0.7633
O 0.4769 0.9758 0.8825
O 0.2334 0.5153 0.1196
O 0.1404 0.6814 0.6738
O 0.0987 0.2048 0.6623
O 0.3526 0.3107 0.3269
O 0.9013 0.7952 0.3377
O 0.5318 0.4321 0.2447
O 0.9858 0.9875 0.8770
O 0.0231 0.9758 0.3825
O 0.9117 0.5195 0.0590
O 0.2020 0.2578 0.0398
O 0.0142 0.0125 0.1230
O 0.4013 0.2048 0.1623
O 0.9682 0.4321 0.7447
O 0.7296 0.5203 0.1199
O 0.6404 0.3186 0.8262
O 0.8596 0.3186 0.3262
O 0.6666 0.0259 0.5425
O 0.1163 0.8319 0.8226
O 0.6617 0.9874 0.9270
O 0.3417 0.8137 0.7046
O 0.5860 0.6866 0.3023
O 0.4117 0.4805 0.4410
O 0.9186 0.4694 0.4499
O 0.6474 0.6893 0.6731
O 0.2980 0.2578 0.5398
O 0.9140 0.6866 0.8023
O 0.1583 0.8137 0.2046
O 0.8417 0.1863 0.7954
O 0.0318 0.5679 0.2553
O 0.0452 0.7575 0.0341
O 0.7950 0.2615 0.5386
O 0.5987 0.7952 0.8377
O 0.4186 0.5306 0.0501
O 0.7704 0.5203 0.6199
O 0.1617 0.0126 0.5730
O 0.7798 0.9255 0.7367
O 0.0557 0.2294 0.4505
O 0.3837 0.8319 0.3226
O 0.9443 0.7706 0.5495
O 0.8334 0.0259 0.0425
O 0.3383 0.0126 0.0730
O 0.5142 0.9875 0.3770
O 0.2704 0.4797 0.8801
O 0.4548 0.7575 0.5341
O 0.8837 0.1681 0.1774
O 0.2950 0.7385 0.9614
O 0.7666 0.4847 0.8804
O 0.4858 0.0125 0.6230
O 0.3596 0.6814 0.1738
O 0.4140 0.3134 0.6977
O 0.2202 0.0745 0.2633
O 0.5557 0.7706 0.0495
O 0.9769 0.0242 0.6175
O 0.2666 0.5153 0.6196
O 0.6583 0.1863 0.2954
O 0.5452 0.2425 0.4659
O 0.4443 0.2294 0.9505
O 0.5231 0.0242 0.1175
O 0.0814 0.5306 0.5501
O 0.8383 0.9874 0.4270
O 0.6163 0.1681 0.6774
O 0.1474 0.3107 0.8269
O 0.7020 0.7422 0.4602
O 0.2296 0.4797 0.3801
O 0.7202 0.9255 0.2367
O 0.0883 0.4805 0.9410
O 0.7334 0.4847 0.3804
O 0.9548 0.2425 0.9659
O 0.0860 0.3134 0.1977
O 0.4682 0.5679 0.7553
O 0.8526 0.6893 0.1731
O 0.7050 0.2615 0.0386
O 0.5883 0.5195 0.5590
O 0.7980 0.7422 0.9602
O 0.5814 0.4694 0.9499
O 0.3334 0.9741 0.4575
O 0.2050 0.7385 0.4614
H 0.7847 0.9551 0.2289
H 0.7153 0.9551 0.7289
H 0.0837 0.2798 0.1377
H 0.5837 0.7202 0.3623
H 0.8364 0.2168 0.8568
H 0.1636 0.7832 0.1432
H 0.6636 0.2168 0.3568
H 0.9668 0.5409 0.2606
H 0.2153 0.0449 0.7711
H 0.5332 0.5409 0.7606
H 0.4163 0.2798 0.6377
H 0.4668 0.4591 0.2394
H 0.3364 0.7832 0.6432
H 0.0332 0.4591 0.7394
H 0.2847 0.0449 0.2711
H 0.9163 0.7202 0.8623
As 0.6751 0.6215 0.5760
As 0.6734 0.3829 0.9241
As 0.5743 0.8791 0.9242
As 0.4216 0.8852 0.4258
As 0.1751 0.3785 0.9240
As 0.5784 0.1148 0.5742
As 0.0743 0.1209 0.5758
As 0.4257 0.1209 0.0758
As 0.8266 0.3829 0.4241
As 0.9216 0.1148 0.0742
As 0.3249 0.3785 0.4240
As 0.9257 0.8791 0.4242
As 0.0784 0.8852 0.9258
As 0.3266 0.6171 0.0759
As 0.8249 0.6215 0.0760
As 0.1734 0.6171 0.5759

Properties
uncorrected energy = -729.0 eV per cell
crystal system = monoclinic
total energy after the MP2020 corrections = -784.0 eV/cell
space-group type = P2_1/c, No. 14
energy of formation from the pure elements = -1386 kJ/mol of formula units


# 6
This record from the Materials Project describes a geometry-optimized Cd3AsI3 structure. The functional is PBE.

Lattice parameters (Å, degrees): 4.5613 7.5614 8.0049 89.12 90.00 90.00
Atoms (fractional coordinates):
As 0.5000 0.0559 0.1689
Cd 0.5000 0.3986 0.1630
Cd 0.0000 0.9447 0.2852
Cd 0.5000 0.9401 0.8655
I 0.5000 0.5630 0.8412
I 0.0000 0.0541 0.6550
I 0.0000 0.5516 0.3545

Properties
piezoelectric modulus e_max = 0.25 C/m²
uncorrected energy = -15.1 eV per cell
crystal system = monoclinic
total energy after the MP2020 corrections = -16.2 eV/cell
space-group type = Pm, No. 6
energy of formation from the pure elements = -408 kJ/mol of formula units


# 7
This record from the Materials Project describes a geometry-optimized Cd4As2I3 structure. The functional is PBE.

Lattice parameters (Å, degrees): 13.3086 13.3086 13.3086 90.00 90.00 90.00
Atoms (fractional coordinates):
Cd 0.2561 0.0340 0.0009
Cd 0.7786 0.7786 0.7786
Cd 0.9991 0.7439 0.9660
Cd 0.9660 0.5009 0.2439
Cd 0.4991 0.7561 0.0340
Cd 0.9991 0.7561 0.4660
Cd 0.0340 0.4991 0.7561
Cd 0.7786 0.7214 0.2786
Cd 0.5340 0.4991 0.7439
Cd 0.2214 0.2786 0.7214
Cd 0.2439 0.9660 0.5009
Cd 0.7439 0.9660 0.9991
Cd 0.0009 0.2561 0.0340
Cd 0.2786 0.7786 0.7214
Cd 0.7214 0.2786 0.7786
Cd 0.4991 0.7439 0.5340
Cd 0.5009 0.2561 0.4660
Cd 0.2786 0.7214 0.2214
Cd 0.9660 0.9991 0.7439
Cd 0.0009 0.2439 0.5340
Cd 0.7214 0.2214 0.2786
Cd 0.4660 0.9991 0.7561
Cd 0.5009 0.2439 0.9660
Cd 0.7439 0.5340 0.4991
Cd 0.5340 0.0009 0.2439
Cd 0.0340 0.0009 0.2561
Cd 0.7561 0.0340 0.4991
Cd 0.2439 0.5340 0.0009
Cd 0.2561 0.4660 0.5009
Cd 0.2214 0.2214 0.2214
Cd 0.7561 0.4660 0.9991
Cd 0.4660 0.5009 0.2561
As 0.1083 0.1083 0.1083
As 0.0534 0.5534 0.9466
As 0.9466 0.4466 0.0534
As 0.6083 0.1083 0.3917
As 0.6083 0.3917 0.8917
As 0.1083 0.3917 0.6083
As 0.8917 0.6083 0.3917
As 0.5534 0.5534 0.5534
As 0.5534 0.9466 0.0534
As 0.3917 0.6083 0.1083
As 0.0534 0.9466 0.4466
As 0.4466 0.4466 0.4466
As 0.9466 0.0534 0.5534
As 0.3917 0.8917 0.6083
As 0.8917 0.8917 0.8917
As 0.4466 0.0534 0.9466
I 0.2621 0.3139 0.9382
I 0.9382 0.2621 0.3139
I 0.7379 0.6861 0.0618
I 0.7379 0.8139 0.5618
I 0.6861 0.4382 0.2379
I 0.0618 0.7379 0.6861
I 0.8139 0.5618 0.7379
I 0.5618 0.7621 0.3139
I 0.3139 0.9382 0.2621
I 0.2379 0.8139 0.9382
I 0.7621 0.3139 0.5618
I 0.9382 0.2379 0.8139
I 0.8139 0.9382 0.2379
I 0.1861 0.4382 0.2621
I 0.2621 0.1861 0.4382
I 0.2379 0.6861 0.4382
I 0.4382 0.2379 0.6861
I 0.3139 0.5618 0.7621
I 0.5618 0.7379 0.8139
I 0.1861 0.0618 0.7621
I 0.4382 0.2621 0.1861
I 0.7621 0.1861 0.0618
I 0.0618 0.7621 0.1861
I 0.6861 0.0618 0.7379

Properties
uncorrected energy = -166.4 eV per cell
crystal system = cubic
total energy after the MP2020 corrections = -175.5 eV/cell
space-group type = Pa-3, No. 205
energy of formation from the pure elements = -420 kJ/mol of formula units


# 8
This record from the Materials Project describes a geometry-optimized Cd4AsPI3 structure. The functional is PBE.

Lattice parameters (Å, degrees): 13.1829 13.1829 13.1829 90.00 90.00 90.00
Atoms (fractional coordinates):
Cd 0.9871 0.7326 0.9649
Cd 0.2162 0.2162 0.2162
Cd 0.9649 0.9871 0.7326
Cd 0.5351 0.4871 0.7326
Cd 0.7838 0.7838 0.7838
Cd 0.9871 0.7674 0.4649
Cd 0.2162 0.2838 0.7162
Cd 0.5351 0.0129 0.2326
Cd 0.5129 0.2326 0.9649
Cd 0.2838 0.7162 0.2162
Cd 0.9649 0.5129 0.2326
Cd 0.0351 0.0129 0.2674
Cd 0.4649 0.5129 0.2674
Cd 0.4649 0.9871 0.7674
Cd 0.7674 0.4649 0.9871
Cd 0.0351 0.4871 0.7674
Cd 0.7326 0.9649 0.9871
Cd 0.7162 0.2838 0.7838
Cd 0.0129 0.2326 0.5351
Cd 0.7162 0.2162 0.2838
Cd 0.2674 0.0351 0.0129
Cd 0.2674 0.4649 0.5129
Cd 0.7838 0.7162 0.2838
Cd 0.2326 0.5351 0.0129
Cd 0.0129 0.2674 0.0351
Cd 0.2838 0.7838 0.7162
Cd 0.7674 0.0351 0.4871
Cd 0.7326 0.5351 0.4871
Cd 0.4871 0.7674 0.0351
Cd 0.5129 0.2674 0.4649
Cd 0.4871 0.7326 0.5351
Cd 0.2326 0.9649 0.5129
I 0.8155 0.5651 0.7470
I 0.7530 0.3155 0.5651
I 0.2530 0.3155 0.9349
I 0.6845 0.4349 0.2470
I 0.4349 0.2530 0.1845
I 0.2470 0.8155 0.9349
I 0.2470 0.6845 0.4349
I 0.5651 0.7530 0.3155
I 0.8155 0.9349 0.2470
I 0.9349 0.2530 0.3155
I 0.6845 0.0651 0.7470
I 0.3155 0.9349 0.2530
I 0.0651 0.7470 0.6845
I 0.7470 0.6845 0.0651
I 0.5651 0.7470 0.8155
I 0.9349 0.2470 0.8155
I 0.3155 0.5651 0.7530
I 0.1845 0.4349 0.2530
I 0.7470 0.8155 0.5651
I 0.0651 0.7530 0.1845
I 0.7530 0.1845 0.0651
I 0.1845 0.0651 0.7530
I 0.4349 0.2470 0.6845
I 0.2530 0.1845 0.4349
As 0.6020 0.3980 0.8980
As 0.8980 0.8980 0.8980
As 0.3980 0.6020 0.1020
As 0.6020 0.1020 0.3980
As 0.8980 0.6020 0.3980
As 0.3980 0.8980 0.6020
As 0.1020 0.1020 0.1020
As 0.1020 0.3980 0.6020
P 0.0482 0.5482 0.9518
P 0.4518 0.0482 0.9518
P 0.4518 0.4518 0.4518
P 0.9518 0.4518 0.0482
P 0.5482 0.5482 0.5482
P 0.5482 0.9518 0.0482
P 0.9518 0.0482 0.5482
P 0.0482 0.9518 0.4518

Properties
uncorrected energy = -171.9 eV per cell
crystal system = cubic
total energy after the MP2020 corrections = -181.0 eV/cell
space-group type = Pa-3, No. 205
energy of formation from the pure elements = -413 kJ/mol of formula units


> Which value of uncorrected energy does entry 2 give?

-30.5 eV per cell


> energy of formation from the pure elements of number 6 (Cd3AsI3)?

-408 kJ/mol of formula units


> Which of these has the lowest energy of formation from the pure elements?

Cd2AsHO5


> Which of these has the highest energy of formation from the pure elements?

CdGeAsP